Record 1
Crystalline K3PSe4 at its relaxed geometry. Source: the Materials Project database, functional r2SCAN.

```
K3PSe4
1.0
9.4116 0.0000 0.0000
0.0000 10.9302 0.0000
0.0000 0.0000 9.6828
K P Se
12 4 16
direct
0.0592 0.0445 0.1962
0.0592 0.4555 0.1962
0.1425 0.7500 0.4185
0.3575 0.2500 0.9185
0.4408 0.5445 0.6962
0.4408 0.9555 0.6962
0.5592 0.0445 0.3038
0.5592 0.4555 0.3038
0.6425 0.7500 0.0815
0.8575 0.2500 0.5815
0.9408 0.5445 0.8038
0.9408 0.9555 0.8038
0.2235 0.7500 0.9771
0.2765 0.2500 0.4771
0.7235 0.7500 0.5229
0.7765 0.2500 0.0229
0.0158 0.7500 0.0865
0.1572 0.0832 0.5329
0.1572 0.4168 0.5329
0.1869 0.7500 0.7520
0.3131 0.2500 0.2520
0.3428 0.5832 0.0329
0.3428 0.9168 0.0329
0.4842 0.2500 0.5865
0.5158 0.7500 0.4135
0.6572 0.0832 0.9671
0.6572 0.4168 0.9671
0.6869 0.7500 0.7480
0.8131 0.2500 0.2480
0.8428 0.5832 0.4671
0.8428 0.9168 0.4671
0.9842 0.2500 0.9135
```

---

Record 2
Crystalline K3PSe16 at its relaxed geometry. Source: the Materials Project database, functional r2SCAN.

```
K3PSe16
1.0
8.3208 -8.3208 0.0000
8.3208 8.3208 0.0000
-8.3207 0.0000 8.3208
K P Se
6 2 32
direct
0.0000 0.0000 0.0000
0.3750 0.1252 0.7500
0.3748 0.6249 0.2499
0.3751 0.6252 0.7501
0.7494 0.2506 0.5000
0.8748 0.6250 0.2500
0.2499 0.7501 0.5000
0.5000 0.5000 0.0000
0.0465 0.1565 0.4752
0.0466 0.3187 0.8901
0.0468 0.5717 0.7282
0.0682 0.2969 0.3905
0.0686 0.0939 0.7717
0.0686 0.6782 0.9750
0.1733 0.8265 0.6530
0.1735 0.5206 0.3470
0.1735 0.8267 0.3470
0.2705 0.4235 0.8473
0.3218 0.0936 0.3905
0.3221 0.2972 0.2285
0.3218 0.9314 0.0250
0.4283 0.1565 0.1097
0.4285 0.3190 0.4754
0.4283 0.9532 0.2718
0.4794 0.8265 0.6530
0.5763 0.4229 0.8467
0.5765 0.7295 0.1527
0.5771 0.4237 0.1533
0.6813 0.1569 0.7282
0.6810 0.5715 0.5246
0.6813 0.9534 0.1099
0.7029 0.0935 0.0250
0.7028 0.6779 0.7715
0.7031 0.9318 0.6095
0.8431 0.3187 0.2718
0.8435 0.5717 0.8903
0.8435 0.9535 0.5248
0.9065 0.2971 0.9750
0.9064 0.6782 0.6095
0.9061 0.9314 0.2283
```

---

Record 3
Crystalline K2PdSe10 at its relaxed geometry. Source: the Materials Project database, functional r2SCAN.

```
K2PdSe10
1.0
-8.1131 8.1131 6.2225
8.1131 -8.1131 6.2225
8.1131 8.1131 -6.2225
K Pd Se
8 4 40
direct
0.0946 0.6060 0.6958
0.1488 0.1602 0.8042
0.3560 0.3446 0.1958
0.3940 0.0898 0.4886
0.6012 0.9054 0.5114
0.6554 0.8512 0.0114
0.8398 0.6440 0.9886
0.9102 0.3988 0.3042
0.0000 0.0000 0.0000
0.2500 0.7500 0.5000
0.5000 0.5000 0.0000
0.7500 0.2500 0.5000
0.0024 0.8411 0.8586
0.0717 0.5195 0.9198
0.1197 0.7011 0.3017
0.1314 0.0813 0.3305
0.1504 0.7305 0.0523
0.1589 0.0175 0.1613
0.1820 0.8803 0.5814
0.1991 0.8686 0.9500
0.2387 0.5398 0.2177
0.2695 0.3217 0.4198
0.2898 0.4887 0.7177
0.2989 0.6006 0.4186
0.3221 0.0210 0.7823
0.3506 0.5489 0.9186
0.3994 0.8180 0.6983
0.4279 0.7102 0.1989
0.4511 0.3697 0.8017
0.4602 0.6779 0.6989
0.4805 0.4004 0.5523
0.5113 0.2290 0.8011
0.5509 0.0009 0.1695
0.5680 0.6494 0.1983
0.5911 0.2524 0.3586
0.5996 0.1519 0.0802
0.6186 0.4491 0.4500
0.6303 0.4320 0.0814
0.6783 0.0981 0.9477
0.7476 0.1062 0.3387
0.7509 0.8009 0.6695
0.7675 0.4089 0.6613
0.7710 0.5721 0.2823
0.8313 0.3814 0.8305
0.8481 0.9283 0.4477
0.8562 0.9976 0.8387
0.8938 0.2325 0.6414
0.9019 0.8496 0.5802
0.9187 0.2491 0.0500
0.9790 0.7613 0.3011
0.9825 0.1438 0.1414
0.9991 0.1687 0.5500
```

---

Record 4
Crystalline KPrS2 at its relaxed geometry. Source: the Materials Project database, functional r2SCAN.

```
KPrS2
1.0
2.1110 1.2188 7.3463
-2.1110 1.2188 7.3463
0.0000 -2.4376 7.3463
K Pr S
1 1 2
direct
0.0000 0.0000 0.0000
0.5000 0.5000 0.5000
0.2370 0.2370 0.2370
0.7630 0.7630 0.7630
```

---

Record 5
Crystalline K2Pt at its relaxed geometry. Source: the Materials Project database, functional r2SCAN.

```
K2Pt
1.0
0.0000 3.7815 3.7815
3.7815 0.0000 3.7815
3.7815 3.7815 0.0000
K Pt
2 1
direct
0.2500 0.2500 0.2500
0.7500 0.7500 0.7500
0.0000 0.0000 0.0000
```

---

Record 6
Crystalline K2Te2Pt at its relaxed geometry. Source: the Materials Project database, functional r2SCAN.

```
K2Te2Pt
1.0
-1.9941 3.9655 5.1628
1.9941 -3.9655 5.1628
1.9941 3.9655 -5.1628
K Te Pt
2 2 1
direct
0.2065 0.2065 0.0000
0.7935 0.7935 0.0000
0.2784 0.5000 0.7784
0.7216 0.5000 0.2216
0.5000 0.0000 0.5000
```

---

Record 7
Crystalline KRb3 at its relaxed geometry. Source: the Materials Project database, functional r2SCAN.

```
KRb3
1.0
-3.9742 3.9742 5.6981
3.9742 -3.9742 5.6981
3.9742 3.9742 -5.6981
K Rb
1 3
direct
0.0000 0.0000 0.0000
0.2500 0.7500 0.5000
0.5000 0.5000 0.0000
0.7500 0.2500 0.5000
```

---

Record 8
Crystalline K3Rb at its relaxed geometry. Source: the Materials Project database, functional r2SCAN.

```
K3Rb
1.0
9.7138 0.0000 0.0000
-4.8569 8.4124 0.0000
0.0000 0.0000 7.9217
K Rb
6 2
direct
0.1650 0.3300 0.2500
0.1650 0.8350 0.2500
0.3300 0.1650 0.7500
0.6700 0.8350 0.2500
0.8350 0.1650 0.7500
0.8350 0.6700 0.7500
0.3333 0.6667 0.7500
0.6667 0.3333 0.2500
```

---

Record 9
Crystalline KRb3 at its relaxed geometry. Source: the Materials Project database, functional r2SCAN.

```
KRb3
1.0
10.1056 0.0000 0.0000
-5.0528 8.7517 0.0000
0.0000 0.0000 8.3419
K Rb
2 6
direct
0.3333 0.6667 0.2500
0.6667 0.3333 0.7500
0.1690 0.3380 0.7500
0.1690 0.8310 0.7500
0.3380 0.1690 0.2500
0.6620 0.8310 0.7500
0.8310 0.1690 0.2500
0.8310 0.6620 0.2500
```

---

Record 10
Crystalline K3Rb at its relaxed geometry. Source: the Materials Project database, functional r2SCAN.

```
K3Rb
1.0
-3.4545 3.4545 6.8551
3.4545 -3.4545 6.8551
3.4545 3.4545 -6.8551
K Rb
3 1
direct
0.0000 0.0000 0.0000
0.2500 0.7500 0.5000
0.7500 0.2500 0.5000
0.5000 0.5000 0.0000
```

---

Record 11
Crystalline KRb3 at its relaxed geometry. Source: the Materials Project database, functional r2SCAN.

```
KRb3
1.0
-3.5667 3.5667 7.1195
3.5667 -3.5667 7.1195
3.5667 3.5667 -7.1195
K Rb
1 3
direct
0.0000 0.0000 0.0000
0.2500 0.7500 0.5000
0.5000 0.5000 0.0000
0.7500 0.2500 0.5000
```

---

Record 12
Crystalline K3Rb at its relaxed geometry. Source: the Materials Project database, functional r2SCAN.

```
K3Rb
1.0
0.0000 5.4521 5.4521
5.4521 0.0000 5.4521
5.4521 5.4521 0.0000
K Rb
3 1
direct
0.0000 0.0000 0.0000
0.2500 0.2500 0.2500
0.7500 0.7500 0.7500
0.5000 0.5000 0.5000
```

---

Record 13
Crystalline KRb3 at its relaxed geometry. Source: the Materials Project database, functional r2SCAN.

```
KRb3
1.0
7.1415 0.0000 0.0000
0.0000 7.1415 0.0000
0.0000 0.0000 7.1415
K Rb
1 3
direct
0.0000 0.0000 0.0000
0.0000 0.5000 0.5000
0.5000 0.0000 0.5000
0.5000 0.5000 0.0000
```

---

Record 14
Crystalline KRbS at its relaxed geometry. Source: the Materials Project database, functional r2SCAN.

```
KRbS
1.0
8.2643 0.0000 0.0000
0.0000 5.0038 0.0000
0.0000 0.0000 9.4662
K Rb S
4 4 4
direct
0.1469 0.2500 0.0758
0.3531 0.7500 0.5758
0.6469 0.2500 0.4242
0.8531 0.7500 0.9242
0.0214 0.2500 0.6776
0.4786 0.7500 0.1776
0.5214 0.2500 0.8224
0.9786 0.7500 0.3224
0.2363 0.7500 0.8910
0.2637 0.2500 0.3910
0.7363 0.7500 0.6090
0.7637 0.2500 0.1090
```

---

Record 15
Crystalline KRb5Zn4Sn5S17 at its relaxed geometry. Source: the Materials Project database, functional r2SCAN.

```
KRb5Zn4Sn5S17
1.0
9.9405 0.0000 0.0000
4.8915 9.8993 0.0000
4.9277 -0.0295 9.8865
K Rb Zn Sn S
1 5 4 5 17
direct
0.0000 0.0000 0.0000
0.2444 0.4832 0.0169
0.2565 0.0027 0.4822
0.6321 0.5381 0.6300
0.7445 0.5133 0.0090
0.7454 0.0003 0.5125
0.2304 0.1343 0.1355
0.5012 0.8644 0.8628
0.6364 0.8625 0.1358
0.6377 0.1345 0.8631
0.2514 0.4975 0.4956
0.2813 0.2221 0.7761
0.2841 0.7746 0.2191
0.4997 0.2210 0.2199
0.9426 0.7767 0.7772
0.0872 0.0022 0.2674
0.0867 0.2692 0.0048
0.1162 0.3543 0.6437
0.1178 0.6425 0.3516
0.2185 0.2738 0.2784
0.2394 0.6446 0.6417
0.3668 0.9924 0.7241
0.3690 0.7223 0.9884
0.5019 0.9989 0.9993
0.5071 0.7228 0.2779
0.5078 0.2778 0.7237
0.5308 0.3550 0.3542
0.6436 0.2748 0.9914
0.6477 0.9938 0.2694
0.7704 0.7210 0.7218
0.9107 0.0049 0.7259
0.9107 0.7271 0.0051
```

---

Record 16
Crystalline K2Re3S6 at its relaxed geometry. Source: the Materials Project database, functional r2SCAN.

```
K2Re3S6
1.0
8.2879 -4.8995 0.0000
8.2879 4.8995 0.0000
-0.2864 0.0000 11.9238
K Re S
8 12 24
direct
0.1017 0.8983 0.7500
0.1438 0.6222 0.9798
0.2890 0.7110 0.2500
0.3778 0.8562 0.5202
0.6222 0.1438 0.4798
0.7110 0.2890 0.7500
0.8562 0.3778 0.0202
0.8983 0.1017 0.2500
0.0306 0.3843 0.6300
0.1027 0.3124 0.4165
0.1911 0.4966 0.5255
0.3124 0.1027 0.9165
0.3843 0.0306 0.1300
0.4966 0.1911 0.0255
0.5034 0.8089 0.9745
0.6157 0.9694 0.8700
0.6876 0.8973 0.0835
0.8089 0.5034 0.4745
0.8973 0.6876 0.5835
0.9694 0.6157 0.3700
0.0551 0.7780 0.4800
0.0613 0.2348 0.8047
0.1117 0.5610 0.7182
0.2181 0.2965 0.0683
0.2220 0.9449 0.0200
0.2348 0.0613 0.3047
0.2435 0.4287 0.3307
0.2965 0.2181 0.5683
0.4287 0.2435 0.8307
0.4390 0.8883 0.7818
0.4405 0.5006 0.5739
0.4994 0.5595 0.9261
0.5006 0.4405 0.0739
0.5595 0.4994 0.4261
0.5610 0.1117 0.2182
0.5713 0.7565 0.1693
0.7035 0.7819 0.4317
0.7565 0.5713 0.6693
0.7652 0.9387 0.6953
0.7780 0.0551 0.9800
0.7819 0.7035 0.9317
0.8883 0.4390 0.2818
0.9387 0.7652 0.1953
0.9449 0.2220 0.5200
```

---

Record 17
Crystalline K2S5 at its relaxed geometry. Source: the Materials Project database, functional r2SCAN.

```
K2S5
1.0
6.4890 0.0000 0.0000
0.0000 6.6395 0.0000
0.0000 0.0000 17.4223
K S
8 20
direct
0.0862 0.2291 0.1665
0.1244 0.4150 0.5104
0.3756 0.5850 0.0104
0.4138 0.7709 0.6665
0.5862 0.2709 0.8335
0.6244 0.0850 0.4896
0.8756 0.9150 0.9896
0.9138 0.7291 0.3335
0.0474 0.7294 0.1557
0.0563 0.6401 0.8051
0.0754 0.3814 0.8709
0.0875 0.9141 0.5293
0.2452 0.8572 0.8543
0.2548 0.1428 0.3543
0.4125 0.0859 0.0293
0.4246 0.6186 0.3709
0.4437 0.3599 0.3051
0.4526 0.2706 0.6557
0.5474 0.7706 0.8443
0.5563 0.8599 0.1949
0.5754 0.1186 0.1291
0.5875 0.5859 0.4707
0.7452 0.6428 0.1457
0.7548 0.3572 0.6457
0.9125 0.4141 0.9707
0.9246 0.8814 0.6291
0.9437 0.1401 0.6949
0.9526 0.2294 0.3443
```

---

The evaluated electronic total energy for the records listed, in turn: -0.8509, -0.9717, -1.0405, -1.1013, -1.5586, -1.7519, -0.8774, -0.5869, -0.8779, -0.5870, -0.8776, -0.5867, -0.8779, -0.7758, -0.9237, -1.5205, -0.5997 Ry per atom.